# 1
# TiCu4 | the Materials Project | PBE | optimized geometry
# - energy of formation from the pure elements (kJ per mole of atoms) = -8
# - volume (Å³/f.u.) = 63.55
# - DFT total energy (eV per cell) = -98.87
data_TiCu4
_chemical_formula_sum 'Ti4 Cu16'
_cell_length_a 4.498
_cell_length_b 4.336
_cell_length_c 13.032
_cell_angle_alpha 90.00
_cell_angle_beta 90.00
_cell_angle_gamma 90.00
_space_group_name_H-M_alt 'P n m a'
_space_group_IT_number 62
loop_
_space_group_symop_operation_xyz
'x,y,z'
'-x,-y,-z'
'-x+1/2,-y,z+1/2'
'x+1/2,y,-z+1/2'
'x+1/2,-y+1/2,-z+1/2'
'-x+1/2,y+1/2,z+1/2'
'-x,y+1/2,-z'
'x,-y+1/2,z'
loop_
_atom_site_label
_atom_site_type_symbol
_atom_site_fract_x
_atom_site_fract_y
_atom_site_fract_z
Ti1 Ti 0.159 0.250 0.097
Cu1 Cu 0.163 0.250 0.503
Cu2 Cu 0.164 0.250 0.299
Cu3 Cu 0.168 0.250 0.702
Cu4 Cu 0.179 0.250 0.895

***

# 2
# Ti5Cu2 | the Materials Project | PBE | optimized geometry
# - magnetic moment (Bohr magnetons per cell) = 1.01
# - energy of formation from the pure elements (kJ per mole of atoms) = 9
# - volume (Å³/f.u.) = 112.97
# - DFT total energy (eV per cell) = -188.10
data_Ti5Cu2
_chemical_formula_sum 'Ti20 Cu8'
_cell_length_a 12.124
_cell_length_b 13.178
_cell_length_c 2.828
_cell_angle_alpha 90.00
_cell_angle_beta 90.00
_cell_angle_gamma 90.00
_space_group_name_H-M_alt 'P b a m'
_space_group_IT_number 55
loop_
_space_group_symop_operation_xyz
'x,y,z'
'-x,-y,-z'
'-x,-y,z'
'x,y,-z'
'x+1/2,-y+1/2,-z'
'-x+1/2,y+1/2,z'
'-x+1/2,y+1/2,-z'
'x+1/2,-y+1/2,z'
loop_
_atom_site_label
_atom_site_type_symbol
_atom_site_fract_x
_atom_site_fract_y
_atom_site_fract_z
Ti1 Ti 0.006 0.121 0.000
Ti2 Ti 0.068 0.663 0.500
Ti3 Ti 0.107 0.465 0.000
Ti4 Ti 0.163 0.003 0.500
Ti5 Ti 0.207 0.831 0.000
Cu1 Cu 0.124 0.260 0.500
Cu2 Cu 0.250 0.143 0.000

***

# 3
# TiZnCu2 | the Materials Project | PBE | optimized geometry
# - magnetic moment (Bohr magnetons per cell) = 0.59
# - energy of formation from the pure elements (kJ per mole of atoms) = -7
# - volume (Å³/f.u.) = 54.80
# - DFT total energy (eV per cell) = -17.66
data_TiZnCu2
_chemical_formula_sum 'Ti1 Zn1 Cu2'
_cell_length_a 3.020
_cell_length_b 3.020
_cell_length_c 6.009
_cell_angle_alpha 90.00
_cell_angle_beta 90.00
_cell_angle_gamma 90.00
_space_group_name_H-M_alt 'P 4/m m m'
_space_group_IT_number 123
_space_group_name_Hall '-P 4 2'
loop_
_atom_site_label
_atom_site_type_symbol
_atom_site_fract_x
_atom_site_fract_y
_atom_site_fract_z
Ti1 Ti 0.000 0.000 0.000
Zn1 Zn 0.000 0.000 0.500
Cu1 Cu 0.500 0.500 0.254